1.
KNaReH9 | PBE-GGA | optimized geometry

Computed properties:
E   -193.44 eV per cell

a b c (Å): 5.6278 9.0641 10.0293
angles (deg): 90.00 90.00 90.00
Closest atoms and distances in Å follow each position.
Fractional positions:
K 0.2500 0.5256 0.8224  14 H 2.75-3.02
H 0.0382 0.2303 0.2692  1 Re 1.72, 1 H 1.92
H 0.7500 0.9097 0.6432  1 Re 1.69
H 0.7500 0.6578 0.4581  1 Re 1.68
H 0.2500 0.3422 0.5419  1 Re 1.68
H 0.7500 0.4097 0.8568  1 Re 1.69
Na 0.2500 0.1403 0.0744  8 H 2.36-2.48
H 0.2500 0.3957 0.2600  1 Re 1.68
H 0.9664 0.5972 0.5938  1 Re 1.70
H 0.4618 0.2303 0.2692  1 Re 1.72, 1 H 1.92
H 0.7500 0.1578 0.0419  1 Re 1.68
H 0.9618 0.7697 0.7308  1 Re 1.72, 1 H 1.92
K 0.7500 0.9744 0.3224  14 H 2.75-3.02
H 0.2500 0.5903 0.1432  1 Re 1.69
H 0.9664 0.0972 0.9062  1 Re 1.70
H 0.0336 0.4028 0.4062  1 Re 1.70
Re 0.7500 0.7265 0.6140  9 H 1.68-1.72
Re 0.2500 0.2735 0.3860  9 H 1.68-1.72
Re 0.2500 0.7735 0.1140  9 H 1.68-1.72
H 0.5366 0.3147 0.9780  1 Re 1.71, 1 H 1.91
Na 0.2500 0.6403 0.4256  8 H 2.36-2.48
Re 0.7500 0.2265 0.8860  9 H 1.68-1.72
H 0.9634 0.3147 0.9780  1 Re 1.71, 1 H 1.91
H 0.5382 0.7697 0.7308  1 Re 1.72, 1 H 1.92
Na 0.7500 0.8597 0.9256  8 H 2.36-2.48
H 0.7500 0.1043 0.7600  1 Re 1.68
H 0.5336 0.0972 0.9062  1 Re 1.70
H 0.0336 0.9028 0.0938  1 Re 1.70
H 0.2500 0.8957 0.2400  1 Re 1.68
H 0.9618 0.2697 0.7692  1 Re 1.72, 1 H 1.92
H 0.5366 0.8147 0.5220  1 Re 1.71, 1 H 1.91
K 0.2500 0.0256 0.6776  14 H 2.75-3.02
H 0.9634 0.8147 0.5220  1 Re 1.71, 1 H 1.91
K 0.7500 0.4744 0.1776  14 H 2.75-3.02
Na 0.7500 0.3597 0.5744  8 H 2.36-2.48
H 0.0366 0.6853 0.0220  1 Re 1.71, 1 H 1.91
H 0.0366 0.1853 0.4780  1 Re 1.71, 1 H 1.91
H 0.5336 0.5972 0.5938  1 Re 1.70
H 0.2500 0.0903 0.3568  1 Re 1.69
H 0.0382 0.7303 0.2308  1 Re 1.72, 1 H 1.92
H 0.5382 0.2697 0.7692  1 Re 1.72, 1 H 1.92
H 0.7500 0.6043 0.7400  1 Re 1.68
H 0.4634 0.1853 0.4780  1 Re 1.71, 1 H 1.91
H 0.4634 0.6853 0.0220  1 Re 1.71, 1 H 1.91
H 0.2500 0.8422 0.9581  1 Re 1.68
H 0.4618 0.7303 0.2308  1 Re 1.72, 1 H 1.92
H 0.4664 0.9028 0.0938  1 Re 1.70
H 0.4664 0.4028 0.4062  1 Re 1.70

---

2.
NaCd4Ge5O15 | PBE-GGA | optimized geometry

Computed properties:
Size of the total moment   2.000 μB/cell
E   -276.97 eV per cell

a b c (Å): 7.2467 8.1355 12.3673
angles (deg): 106.87 93.07 94.54
Closest atoms and distances in Å follow each position.
Fractional positions:
Cd 0.1295 0.3111 0.4449  6 O 2.27-2.45
O 0.2461 0.8199 0.8513  1 Ge 1.75
O 0.3671 0.4201 0.0835  2 Ge 1.79-1.81
Na 0.6279 0.8272 0.3622  5 O 2.34-2.55
O 0.5275 0.5220 0.3055  1 Ge 1.77
O 0.1624 0.4835 0.9061  1 Ge 1.75
O 0.0746 0.2668 0.6213  1 Ge 1.76
O 0.4434 0.9228 0.6819  2 Ge 1.78-1.79
O 0.5660 0.6813 0.4975  1 Ge 1.77
Ge 0.5744 0.0371 0.1691  4 O 1.74-1.83
O 0.9222 0.9614 0.6781  1 Ge 1.74
Cd 0.8287 0.4627 0.2644  6 O 2.28-2.38
O 0.6451 0.9795 0.9005  1 Ge 1.74
Cd 0.2704 0.7378 0.0232  4 O 2.21-2.41
O 0.4725 0.4780 0.6945  1 Ge 1.77
Ge 0.4256 0.9629 0.8309  4 O 1.74-1.83
O 0.3784 0.1886 0.8648  2 Ge 1.80-1.83
Cd 0.1713 0.5373 0.7356  6 O 2.28-2.38
Ge 0.6881 0.4976 0.7729  4 O 1.76-1.82
O 0.8262 0.3871 0.4364  1 Ge 1.75
O 0.2920 0.8983 0.4727  2 Ge 1.80-1.81
O 0.4340 0.3187 0.5025  1 Ge 1.77
O 0.9663 0.8239 0.0243  1 Ge 1.76
O 0.5566 0.0772 0.3181  2 Ge 1.78-1.79
O 0.6329 0.5799 0.9165  2 Ge 1.79-1.81
O 0.7080 0.1017 0.5273  2 Ge 1.80-1.81
Ge 0.8755 0.1510 0.6478  4 O 1.74-1.84
Cd 0.7296 0.2622 0.9768  4 O 2.21-2.41
O 0.8376 0.5165 0.0939  1 Ge 1.75
Ge 0.3601 0.7585 0.5548  4 O 1.75-1.81
Na 0.3721 0.1728 0.6378  5 O 2.34-2.55
Ge 0.2209 0.3119 0.9555  4 O 1.75-1.81
O 0.3549 0.0205 0.0995  1 Ge 1.74
Cd 0.0633 0.0950 0.1498  6 O 2.30-2.43
Ge 0.1245 0.8490 0.3522  4 O 1.74-1.84
O 0.1738 0.6129 0.5636  1 Ge 1.75
O 0.7592 0.2857 0.7653  2 Ge 1.82-1.84
O 0.0778 0.0386 0.3219  1 Ge 1.74
O 0.7539 0.1801 0.1487  1 Ge 1.75
O 0.1343 0.3763 0.2670  1 Ge 1.76
O 0.9254 0.7332 0.3787  1 Ge 1.76
O 0.0337 0.1761 0.9757  1 Ge 1.76
Ge 0.6399 0.2414 0.4452  4 O 1.75-1.81
Cd 0.9367 0.9050 0.8502  6 O 2.30-2.43
O 0.6216 0.8114 0.1352  2 Ge 1.80-1.83
O 0.2408 0.7143 0.2347  2 Ge 1.82-1.84
Cd 0.8705 0.6889 0.5551  6 O 2.27-2.45
Ge 0.3119 0.5024 0.2271  4 O 1.76-1.82
O 0.8657 0.6237 0.7330  1 Ge 1.76
Ge 0.7791 0.6881 0.0445  4 O 1.75-1.81

---

3.
Mn3As2 | PBE-GGA | optimized geometry

Computed properties:
Size of the total moment   30.279 μB/cell
E   -150.14 eV per cell

a b c (Å): 6.7473 6.7473 12.8730
angles (deg): 90.00 90.00 150.56
Closest atoms and distances in Å follow each position.
Fractional positions:
Mn 0.9696 0.0304 0.3130  5 As 2.42-2.46
As 0.0097 0.9903 0.4967  7 Mn 2.40-2.53
As 0.6621 0.3379 0.7978  7 Mn 2.38-2.52
Mn 0.6289 0.3711 0.9799  5 As 2.38-2.55
Mn 0.8273 0.1727 0.8934  6 As 2.48-2.59
Mn 0.5582 0.4418 0.6326  5 As 2.52-2.67, 2 Mn 2.78
Mn 0.7667 0.2333 0.1788  5 As 2.48-2.56, 2 Mn 2.73
Mn 0.3711 0.6289 0.4799  5 As 2.38-2.55
Mn 0.1089 0.8911 0.1392  4 As 2.39-2.47
As 0.2651 0.7349 0.0306  8 Mn 2.47-2.65
As 0.3379 0.6621 0.2978  7 Mn 2.38-2.52
As 0.5971 0.4029 0.2680  8 Mn 2.39-2.67
Mn 0.8911 0.1089 0.6392  4 As 2.39-2.47
Mn 0.1727 0.8273 0.3934  6 As 2.48-2.59
As 0.7349 0.2651 0.5306  8 Mn 2.47-2.65
As 0.9903 0.0097 0.9967  7 Mn 2.40-2.53
Mn 0.2333 0.7667 0.6788  5 As 2.48-2.56, 2 Mn 2.73
Mn 0.4418 0.5582 0.1326  5 As 2.52-2.67, 2 Mn 2.78
As 0.4029 0.5971 0.7680  8 Mn 2.39-2.67
Mn 0.0304 0.9696 0.8130  5 As 2.42-2.46

---

4.
LiSi2Ag8O8 | PBE-GGA | optimized geometry

Computed properties:
Offset from the most stable computed form   0.61 eV/f.u.
Size of the total moment   0.000 μB/cell
E   -93.58 eV per cell

a b c (Å): 5.4015 6.1176 8.6932
angles (deg): 93.35 90.00 90.00
Closest atoms and distances in Å follow each position.
Fractional positions:
Ag 0.7179 0.4225 0.6120  3 O 2.27-2.52
O 0.4158 0.9718 0.7186  1 Si 1.67
O 0.9401 0.2243 0.0898  1 Si 1.66
Ag 0.7510 0.8650 0.4860  2 O 2.27-2.38
O 0.4158 0.5282 0.7814  1 Si 1.67
Li 0.2706 0.2500 0.7500  2 O 1.88
Ag 0.7510 0.6350 0.0140  2 O 2.27-2.38
Ag 0.3121 0.9368 0.0923  2 O 2.19-2.21
Si 0.7721 0.2500 0.2500  4 O 1.66-1.67
Ag 0.3121 0.5632 0.4077  2 O 2.19-2.21
O 0.9401 0.2757 0.4102  1 Si 1.66
Ag 0.2705 0.4459 0.0619  2 O 2.26-2.36
Ag 0.7179 0.0775 0.8880  3 O 2.27-2.52
O 0.6021 0.0240 0.2608  1 Si 1.67
O 0.0702 0.6903 0.5973  1 Si 1.66
O 0.0702 0.8097 0.9027  1 Si 1.66
O 0.6021 0.4760 0.2392  1 Si 1.67
Si 0.2478 0.7500 0.7500  4 O 1.66-1.67
Ag 0.2705 0.0541 0.4381  2 O 2.26-2.36

---

5.
MnBr2 | PBE-GGA | optimized geometry

Computed properties:
E   -14.87 eV per cell

a b c (Å): 3.8782 3.8782 7.0793
angles (deg): 74.10 74.10 60.00
Closest atoms and distances in Å follow each position.
Fractional positions:
Br 0.2581 0.2581 0.2256  3 Mn 2.70
Mn 0.0000 0.0000 0.0000  6 Br 2.70
Br 0.7419 0.7419 0.7744  3 Mn 2.70

---

Number 1: ΔH_f (0 K) -0.380 eV per atom. Number 2: ΔH_f (0 K) -1.858 eV per atom. Number 3: ΔH_f (0 K) -0.146 eV per atom. Number 4: ΔH_f (0 K) -1.267 eV per atom. Number 5: ΔH_f (0 K) -1.167 eV per atom.